[1]
Entry from the Materials Project: an optimized crystal structure of Li2CrCo3O8 (PBE+U).

* energy above the lowest structure with this stoichiometry: 0.0435 eV/atom
* V: 9.396 A^3/atom
* size of the total moment: 5.00 μB per formula unit
* crystal system: cubic
* energy of formation from the pure elements: -1.6553 eV per atom

Lattice parameters (Å, degrees): 8.073 8.073 8.073 90.00 90.00 90.00
Atoms (fractional coordinates):
Li  0.000  0.000  0.000
Li  0.000  0.500  0.500
Li  0.250  0.250  0.250
Li  0.250  0.750  0.750
Li  0.500  0.000  0.500
Li  0.500  0.500  0.000
Li  0.750  0.250  0.750
Li  0.750  0.750  0.250
Cr  0.125  0.875  0.375
Cr  0.375  0.125  0.875
Cr  0.625  0.625  0.625
Cr  0.875  0.375  0.125
Co  0.122  0.128  0.625
Co  0.125  0.378  0.872
Co  0.128  0.625  0.122
Co  0.372  0.375  0.622
Co  0.375  0.622  0.372
Co  0.378  0.872  0.125
Co  0.622  0.372  0.375
Co  0.625  0.122  0.128
Co  0.628  0.875  0.878
Co  0.872  0.125  0.378
Co  0.875  0.878  0.628
Co  0.878  0.628  0.875
O  0.108  0.113  0.389
O  0.111  0.892  0.613
O  0.112  0.612  0.888
O  0.113  0.389  0.108
O  0.137  0.142  0.861
O  0.138  0.362  0.638
O  0.139  0.637  0.358
O  0.142  0.861  0.137
O  0.358  0.139  0.637
O  0.361  0.363  0.858
O  0.362  0.638  0.138
O  0.363  0.858  0.361
O  0.387  0.611  0.608
O  0.388  0.388  0.388
O  0.389  0.108  0.113
O  0.392  0.887  0.889
O  0.608  0.387  0.611
O  0.611  0.608  0.387
O  0.612  0.888  0.112
O  0.613  0.111  0.892
O  0.637  0.358  0.139
O  0.638  0.138  0.362
O  0.639  0.863  0.642
O  0.642  0.639  0.863
O  0.858  0.361  0.363
O  0.861  0.137  0.142
O  0.862  0.862  0.862
O  0.863  0.642  0.639
O  0.887  0.889  0.392
O  0.888  0.112  0.612
O  0.889  0.392  0.887
O  0.892  0.613  0.111

[2]
Entry from the Materials Project: an optimized crystal structure of Li4Cr3CoO8 (PBE+U).

* energy above the lowest structure with this stoichiometry: 0.0012 eV/atom
* V: 8.963 A^3/atom
* size of the total moment: 9.00 μB per formula unit
* crystal system: triclinic
* energy of formation from the pure elements: -2.2317 eV per atom

Lattice parameters (Å, degrees): 5.109 5.861 10.564 73.91 76.20 73.35
Atoms (fractional coordinates):
Li  0.000  0.191  0.373
Li  0.000  0.809  0.627
Li  0.002  0.441  0.871
Li  0.006  0.933  0.875
Li  0.008  0.684  0.374
Li  0.992  0.316  0.626
Li  0.994  0.067  0.125
Li  0.998  0.559  0.129
Cr  0.500  0.000  0.500
Cr  0.500  0.125  0.750
Cr  0.500  0.252  0.000
Cr  0.500  0.500  0.500
Cr  0.500  0.748  0.000
Cr  0.500  0.875  0.250
Co  0.500  0.375  0.250
Co  0.500  0.625  0.750
O  0.273  0.089  0.936
O  0.273  0.839  0.435
O  0.276  0.707  0.187
O  0.277  0.340  0.432
O  0.277  0.590  0.932
O  0.277  0.958  0.687
O  0.278  0.218  0.186
O  0.278  0.466  0.687
O  0.722  0.534  0.313
O  0.722  0.782  0.814
O  0.723  0.042  0.313
O  0.723  0.410  0.068
O  0.723  0.660  0.568
O  0.724  0.293  0.813
O  0.727  0.161  0.565
O  0.727  0.911  0.064